A relaxed structure of MgV4O4F8, computed with GGA+U.

Values from the calculation:
**Energy of formation**: -2940 meV per atom
**Calculated density**: 3.38 Mg/m³
**Final energy**: -6.458 eV per atom
**Energy relative to the lowest polymorph listed for this composition**: 0.3 meV/atom

a = 5.2031 Å, b = 9.4968 Å, c = 5.1952 Å
α = 104.16°, β = 117.94°, γ = 76.92°
Closest atoms and distances in Å follow each position.
Element x y z (fractional)
F: 0.3966 0.8818 0.2408  2 V 1.96-1.99
F: 0.7008 0.6272 0.4470  2 V 2.02-2.03
F: 0.1123 0.6164 0.2615  2 V 1.96-2.02
F: 0.8614 0.3850 0.7646  1 Mg 2.04, 2 V 2.09-2.15
F: 0.9926 0.8624 0.6179  2 V 1.97-2.00
F: 0.5285 0.3775 0.1411  1 Mg 2.02, 1 V 2.10
F: 0.9954 0.1397 0.3560  2 V 2.05-2.09, 1 Mg 2.08
F: 0.6350 0.1380 0.7968  2 V 1.98-2.12
V: 0.4735 0.5182 0.5415  2 O 1.69-1.88
V: 0.7491 0.7599 0.2245  1 O 1.70
V: 0.0204 0.9931 0.9934  2 O 1.88-1.95, 3 F 1.99-2.09
V: 0.2528 0.2529 0.7537  2 O 1.88-1.97, 3 F 1.98-2.10
Mg: 0.9150 0.3056 0.1196  2 O 2.01-2.11, 4 F 2.02-2.22
O: 0.1839 0.1428 0.9657  2 V 1.88
O: 0.5188 0.6287 0.8644  1 V 1.69
O: 0.8025 0.8654 0.0377  1 V 1.70
O: 0.2490 0.3770 0.4989  2 V 1.88-1.97, 1 Mg 2.01